Record 1
A plane-wave DFT calculation with GGA-PBE was carried out for a relaxed Sn2O3 crystal.

a = 5.3636 Å, b = 5.3636 Å, c = 21.0251 Å
α = 90.00°, β = 90.00°, γ = 144.07°
Positions (direct):
Sn1 0.0812 0.9188 0.6630
Sn2 0.0812 0.9188 0.8370
Sn3 0.3637 0.6363 0.5405
Sn4 0.3637 0.6363 0.9595
Sn5 0.6363 0.3637 0.0405
Sn6 0.6363 0.3637 0.4595
Sn7 0.9188 0.0812 0.1630
Sn8 0.9188 0.0812 0.3370
O1 0.0000 0.0000 0.0000
O2 0.0000 0.0000 0.5000
O3 0.0014 0.9986 0.7500
O4 0.2606 0.7394 0.0499
O5 0.2606 0.7394 0.4501
O6 0.4536 0.5464 0.6239
O7 0.4536 0.5464 0.8761
O8 0.5464 0.4536 0.1239
O9 0.5464 0.4536 0.3761
O10 0.7394 0.2606 0.5499
O11 0.7394 0.2606 0.9501
O12 0.9986 0.0014 0.2500

Summary:
SG: No. 63
Formation enthalpy at 0 K (meV per atom): -1651
MP2020-corrected energy (eV/atom): -6.223
Energy (eV per cell): -116.2



Record 2
A plane-wave DFT calculation with GGA-PBE was carried out for a relaxed ReN2 crystal.

a = 4.9655 Å, b = 4.9655 Å, c = 4.9655 Å
α = 90.00°, β = 90.00°, γ = 90.00°
Positions (direct):
Re1 0.0000 0.0000 0.0000
Re2 0.0000 0.5000 0.5000
Re3 0.5000 0.0000 0.5000
Re4 0.5000 0.5000 0.0000
N1 0.1444 0.6444 0.8556
N2 0.1444 0.8556 0.3556
N3 0.3556 0.1444 0.8556
N4 0.3556 0.3556 0.3556
N5 0.6444 0.6444 0.6444
N6 0.6444 0.8556 0.1444
N7 0.8556 0.1444 0.6444
N8 0.8556 0.3556 0.1444

Summary:
SG: No. 205
Formation enthalpy at 0 K (meV per atom): 455
MP2020-corrected energy (eV/atom): -9.251
Energy (eV per cell): -108.1